No. 1
# LiCeZn2, relaxed, DFT PBE
# - ΔH_f (0 K) (eV/f.u.) = -0.7
# - total magnetic moment (μB/cell) = 0.8
data_LiCeZn2
_cell_length_a 4.8436
_cell_length_b 4.8436
_cell_length_c 4.8436
_cell_angle_alpha 60.00
_cell_angle_beta 60.00
_cell_angle_gamma 60.00
_symmetry_space_group_name_H-M 'P 1'
_symmetry_Int_Tables_number 1
_symmetry_space_group_name_Hall 'P 1'
loop_
_atom_site_label
_atom_site_type_symbol
_atom_site_fract_x
_atom_site_fract_y
_atom_site_fract_z
Li1 Li 0.0000 0.0000 0.0000
Ce1 Ce 0.5000 0.5000 0.5000
Zn1 Zn 0.2500 0.2500 0.2500
Zn2 Zn 0.7500 0.7500 0.7500

=====

No. 2
# Mg2CoMo3S8, relaxed, DFT PBE
# - ΔH_f (0 K) (eV/f.u.) = -12.0
# - total magnetic moment (μB/cell) = 9.0
data_Mg2CoMo3S8
_cell_length_a 7.2589
_cell_length_b 7.2589
_cell_length_c 7.2589
_cell_angle_alpha 61.13
_cell_angle_beta 61.13
_cell_angle_gamma 61.13
_symmetry_space_group_name_H-M 'P 1'
_symmetry_Int_Tables_number 1
_symmetry_space_group_name_Hall 'P 1'
loop_
_atom_site_label
_atom_site_type_symbol
_atom_site_fract_x
_atom_site_fract_y
_atom_site_fract_z
Mg1 Mg 0.1220 0.1220 0.1220
Mg2 Mg 0.8780 0.8780 0.8780
Co1 Co 0.5000 0.5000 0.5000
Mo1 Mo 0.0000 0.5000 0.5000
Mo2 Mo 0.5000 0.0000 0.5000
Mo3 Mo 0.5000 0.5000 0.0000
S1 S 0.2601 0.2601 0.2601
S2 S 0.2703 0.2703 0.7119
S3 S 0.2703 0.7119 0.2703
S4 S 0.2881 0.7297 0.7297
S5 S 0.7119 0.2703 0.2703
S6 S 0.7297 0.2881 0.7297
S7 S 0.7297 0.7297 0.2881
S8 S 0.7399 0.7399 0.7399

=====

No. 3
# CoSn3, relaxed, DFT PBE
# - ΔH_f (0 K) (eV/f.u.) = -0.2
data_CoSn3
_cell_length_a 9.0952
_cell_length_b 9.0952
_cell_length_c 6.3232
_cell_angle_alpha 90.00
_cell_angle_beta 90.00
_cell_angle_gamma 40.57
_symmetry_space_group_name_H-M 'P 1'
_symmetry_Int_Tables_number 1
_symmetry_space_group_name_Hall 'P 1'
loop_
_atom_site_label
_atom_site_type_symbol
_atom_site_fract_x
_atom_site_fract_y
_atom_site_fract_z
Co1 Co 0.0795 0.0795 0.0000
Co2 Co 0.4205 0.4205 0.5000
Co3 Co 0.5795 0.5795 0.5000
Co4 Co 0.9205 0.9205 0.0000
Sn1 Sn 0.0181 0.6518 0.3178
Sn2 Sn 0.1518 0.5181 0.8178
Sn3 Sn 0.1640 0.8360 0.6636
Sn4 Sn 0.3360 0.6640 0.1636
Sn5 Sn 0.3482 0.9819 0.3178
Sn6 Sn 0.4819 0.8482 0.8178
Sn7 Sn 0.5181 0.1518 0.1822
Sn8 Sn 0.6518 0.0181 0.6822
Sn9 Sn 0.6640 0.3360 0.8364
Sn10 Sn 0.8360 0.1640 0.3364
Sn11 Sn 0.8482 0.4819 0.1822
Sn12 Sn 0.9819 0.3482 0.6822

=====

No. 4
# MgScSe3, relaxed, DFT PBE
# - ΔH_f (0 K) (eV/f.u.) = -7.3
# - total magnetic moment (μB/cell) = 0.0
# - energy relative to the lowest polymorph listed for this composition (kJ/mol of formula units) = 0
data_MgScSe3
_cell_length_a 7.2322
_cell_length_b 7.2322
_cell_length_c 7.2322
_cell_angle_alpha 56.18
_cell_angle_beta 56.18
_cell_angle_gamma 56.18
_symmetry_space_group_name_H-M 'P 1'
_symmetry_Int_Tables_number 1
_symmetry_space_group_name_Hall 'P 1'
loop_
_atom_site_label
_atom_site_type_symbol
_atom_site_fract_x
_atom_site_fract_y
_atom_site_fract_z
Mg1 Mg 0.1539 0.1539 0.1539
Mg2 Mg 0.8461 0.8461 0.8461
Sc1 Sc 0.3428 0.3428 0.3428
Sc2 Sc 0.6572 0.6572 0.6572
Se1 Se 0.0641 0.7496 0.4311
Se2 Se 0.2504 0.5689 0.9359
Se3 Se 0.4311 0.0641 0.7496
Se4 Se 0.5689 0.9359 0.2504
Se5 Se 0.7496 0.4311 0.0641
Se6 Se 0.9359 0.2504 0.5689

=====

No. 5
# In2Hg3Te6, relaxed, DFT PBE
# - ΔH_f (0 K) (eV/f.u.) = -5.2
# - total magnetic moment (μB/cell) = 0.0
# - energy relative to the lowest polymorph listed for this composition (kJ/mol of formula units) = 0
data_In2Hg3Te6
_cell_length_a 8.0474
_cell_length_b 8.0474
_cell_length_c 9.1761
_cell_angle_alpha 108.04
_cell_angle_beta 108.04
_cell_angle_gamma 46.93
_symmetry_space_group_name_H-M 'P 1'
_symmetry_Int_Tables_number 1
_symmetry_space_group_name_Hall 'P 1'
loop_
_atom_site_label
_atom_site_type_symbol
_atom_site_fract_x
_atom_site_fract_y
_atom_site_fract_z
In1 In 0.1668 0.1668 0.3388
In2 In 0.8332 0.8332 0.6612
Hg1 Hg 0.1653 0.1508 0.8204
Hg2 Hg 0.5585 0.4415 0.0000
Hg3 Hg 0.8492 0.8347 0.1796
Te1 Te 0.0959 0.5719 0.9149
Te2 Te 0.1334 0.5590 0.4302
Te3 Te 0.4281 0.9041 0.0851
Te4 Te 0.4410 0.8666 0.5698
Te5 Te 0.7321 0.2584 0.7180
Te6 Te 0.7416 0.2679 0.2820

=====

No. 6
# Y2CrN3, relaxed, DFT PBE
# - ΔH_f (0 K) (eV/f.u.) = -8.4
# - total magnetic moment (μB/cell) = 1.2
data_Y2CrN3
_cell_length_a 6.7229
_cell_length_b 6.7229
_cell_length_c 6.7229
_cell_angle_alpha 150.92
_cell_angle_beta 148.20
_cell_angle_gamma 43.63
_symmetry_space_group_name_H-M 'P 1'
_symmetry_Int_Tables_number 1
_symmetry_space_group_name_Hall 'P 1'
loop_
_atom_site_label
_atom_site_type_symbol
_atom_site_fract_x
_atom_site_fract_y
_atom_site_fract_z
Y1 Y 0.1497 0.1497 0.0000
Y2 Y 0.8503 0.8503 0.0000
Cr1 Cr 0.5000 0.5000 0.0000
N1 N 0.0000 0.5000 0.5000
N2 N 0.3389 0.3389 0.0000
N3 N 0.6611 0.6611 0.0000

=====

No. 7
# Na3Ca3LaS6O24, relaxed, DFT PBE
# - ΔH_f (0 K) (eV/f.u.) = -92.9
# - total magnetic moment (μB/cell) = 0.0
data_Na3Ca3LaS6O24
_cell_length_a 9.2974
_cell_length_b 9.3075
_cell_length_c 24.5560
_cell_angle_alpha 89.82
_cell_angle_beta 89.93
_cell_angle_gamma 60.12
_symmetry_space_group_name_H-M 'P 1'
_symmetry_Int_Tables_number 1
_symmetry_space_group_name_Hall 'P 1'
loop_
_atom_site_label
_atom_site_type_symbol
_atom_site_fract_x
_atom_site_fract_y
_atom_site_fract_z
Na1 Na 0.0000 0.0000 0.0000
Na2 Na 0.9999 0.0309 0.4869
Na3 Na 0.0321 0.6796 0.5665
Na4 Na 0.3330 0.3480 0.1583
Na5 Na 0.3327 0.9844 0.9067
Na6 Na 0.3471 0.3334 0.6559
Na7 Na 0.6661 0.6807 0.3278
Na8 Na 0.6830 0.6810 0.8198
Na9 Na 0.6973 0.3471 0.9071
Ca1 Ca 0.9999 0.0046 0.8351
Ca2 Ca 0.0000 0.0228 0.6400
Ca3 Ca 0.0007 0.0148 0.1388
Ca4 Ca 0.3277 0.3534 0.8034
Ca5 Ca 0.3286 0.3525 0.0066
Ca6 Ca 0.3336 0.3475 0.3062
Ca7 Ca 0.3424 0.3379 0.5016
Ca8 Ca 0.6618 0.6806 0.4698
Ca9 Ca 0.6755 0.6810 0.9765
La1 La 0.0004 0.0130 0.3397
La2 La 0.6602 0.6804 0.6722
La3 La 0.6668 0.6806 0.1709
S1 S 0.0048 0.7129 0.7362
S2 S 0.0076 0.3107 0.2369
S3 S 0.0343 0.6413 0.4080
S4 S 0.0346 0.3446 0.9040
S5 S 0.2963 0.0189 0.7412
S6 S 0.2969 0.7102 0.2370
S7 S 0.3384 0.6454 0.9047
S8 S 0.3394 0.0470 0.4054
S9 S 0.3590 0.6809 0.5700
S10 S 0.3607 0.9845 0.0671
S11 S 0.6254 0.0547 0.9044
S12 S 0.6289 0.3527 0.4052
S13 S 0.6698 0.3737 0.0674
S14 S 0.6718 0.9781 0.5705
S15 S 0.6962 0.0211 0.2369
S16 S 0.7002 0.3091 0.7413
S17 S 0.9685 0.3829 0.5698
S18 S 0.9724 0.6831 0.0701
O1 O 0.0141 0.7934 0.6853
O2 O 0.0170 0.8109 0.4044
O3 O 0.0182 0.2143 0.1882
O4 O 0.0208 0.1897 0.8997
O5 O 0.1118 0.3662 0.8547
O6 O 0.1233 0.5433 0.3599
O7 O 0.1253 0.5659 0.4594
O8 O 0.1322 0.3764 0.5665
O9 O 0.1360 0.3239 0.9527
O10 O 0.1378 0.5328 0.0671
O11 O 0.1539 0.5464 0.7400
O12 O 0.1566 0.3283 0.2405
O13 O 0.1871 0.0286 0.4035
O14 O 0.1895 0.8298 0.5748
O15 O 0.1955 0.8182 0.8996
O16 O 0.1958 0.9978 0.0723
O17 O 0.1991 0.0273 0.6929
O18 O 0.2007 0.7965 0.1882
O19 O 0.2169 0.8083 0.2869
O20 O 0.2199 0.0033 0.7923
O21 O 0.3135 0.5443 0.2407
O22 O 0.3154 0.1676 0.7423
O23 O 0.3178 0.5674 0.9539
O24 O 0.3236 0.1426 0.4550
O25 O 0.3368 0.5328 0.5670
O26 O 0.3456 0.1502 0.0652
O27 O 0.3490 0.1307 0.3558
O28 O 0.3584 0.5448 0.8559
O29 O 0.4402 0.8901 0.0163
O30 O 0.4438 0.6980 0.5224
O31 O 0.4562 0.6629 0.6205
O32 O 0.4660 0.6933 0.2345
O33 O 0.4659 0.8667 0.7380
O34 O 0.4660 0.8951 0.1152
O35 O 0.4882 0.8793 0.4080
O36 O 0.4940 0.6590 0.9090
O37 O 0.5190 0.3586 0.0656
O38 O 0.5229 0.1334 0.8555
O39 O 0.5268 0.1461 0.5665
O40 O 0.5304 0.1700 0.2406
O41 O 0.5326 0.3277 0.7426
O42 O 0.5358 0.3617 0.3557
O43 O 0.5466 0.1569 0.9532
O44 O 0.5487 0.3370 0.4548
O45 O 0.6397 0.8876 0.9098
O46 O 0.6479 0.5018 0.4076
O47 O 0.6509 0.8993 0.6211
O48 O 0.6548 0.4786 0.1153
O49 O 0.6789 0.8692 0.2344
O50 O 0.6835 0.4785 0.7379
O51 O 0.6851 0.4533 0.0165
O52 O 0.6916 0.8726 0.5233
O53 O 0.7827 0.0319 0.1882
O54 O 0.7885 0.2120 0.6928
O55 O 0.7923 0.0403 0.8990
O56 O 0.7923 0.2330 0.7923
O57 O 0.7950 0.0021 0.2869
O58 O 0.7994 0.2011 0.4033
O59 O 0.8208 0.2088 0.0725
O60 O 0.8297 0.9834 0.5757
O61 O 0.8526 0.6946 0.7353
O62 O 0.8555 0.4791 0.2342
O63 O 0.8613 0.4879 0.9090
O64 O 0.8662 0.4662 0.5219
O65 O 0.8662 0.6603 0.4094
O66 O 0.8728 0.6991 0.0211
O67 O 0.8865 0.4842 0.6199
O68 O 0.8881 0.6670 0.1195
O69 O 0.9874 0.8339 0.0739
O70 O 0.9892 0.2304 0.2869
O71 O 0.9890 0.8129 0.7847
O72 O 0.9902 0.2150 0.5755

=====

No. 8
# KAg5S3, relaxed, DFT PBE
# - ΔH_f (0 K) (eV/f.u.) = -4.3
data_KAg5S3
_cell_length_a 13.5289
_cell_length_b 13.5289
_cell_length_c 8.0548
_cell_angle_alpha 90.00
_cell_angle_beta 90.00
_cell_angle_gamma 120.00
_symmetry_space_group_name_H-M 'P 1'
_symmetry_Int_Tables_number 1
_symmetry_space_group_name_Hall 'P 1'
loop_
_atom_site_label
_atom_site_type_symbol
_atom_site_fract_x
_atom_site_fract_y
_atom_site_fract_z
K1 K 0.0000 0.0000 0.0000
K2 K 0.0000 0.0000 0.5000
K3 K 0.3333 0.6667 0.0015
K4 K 0.3333 0.6667 0.4985
K5 K 0.6667 0.3333 0.5015
K6 K 0.6667 0.3333 0.9985
Ag1 Ag 0.0000 0.5352 0.0000
Ag2 Ag 0.0000 0.5352 0.5000
Ag3 Ag 0.0025 0.3681 0.7500
Ag4 Ag 0.0049 0.7070 0.7500
Ag5 Ag 0.1496 0.3337 0.0013
Ag6 Ag 0.1496 0.3337 0.4987
Ag7 Ag 0.1841 0.8504 0.0013
Ag8 Ag 0.1841 0.8504 0.4987
Ag9 Ag 0.2930 0.2979 0.7500
Ag10 Ag 0.2979 0.2930 0.2500
Ag11 Ag 0.3337 0.1496 0.5013
Ag12 Ag 0.3337 0.1496 0.9987
Ag13 Ag 0.3656 0.9975 0.7500
Ag14 Ag 0.3681 0.0025 0.2500
Ag15 Ag 0.4648 0.4648 0.0000
Ag16 Ag 0.4648 0.4648 0.5000
Ag17 Ag 0.5352 0.0000 0.0000
Ag18 Ag 0.5352 0.0000 0.5000
Ag19 Ag 0.6319 0.6344 0.7500
Ag20 Ag 0.6344 0.6319 0.2500
Ag21 Ag 0.6663 0.8159 0.0013
Ag22 Ag 0.6663 0.8159 0.4987
Ag23 Ag 0.7021 0.9951 0.7500
Ag24 Ag 0.7070 0.0049 0.2500
Ag25 Ag 0.8159 0.6663 0.5013
Ag26 Ag 0.8159 0.6663 0.9987
Ag27 Ag 0.8504 0.1841 0.5013
Ag28 Ag 0.8504 0.1841 0.9987
Ag29 Ag 0.9951 0.7021 0.2500
Ag30 Ag 0.9975 0.3656 0.2500
S1 S 0.0846 0.2192 0.2500
S2 S 0.1140 0.5813 0.2500
S3 S 0.1345 0.9154 0.2500
S4 S 0.2192 0.0846 0.7500
S5 S 0.2212 0.7760 0.7500
S6 S 0.2240 0.4452 0.7500
S7 S 0.4187 0.5326 0.2500
S8 S 0.4452 0.2240 0.2500
S9 S 0.4674 0.8860 0.2500
S10 S 0.5326 0.4187 0.7500
S11 S 0.5548 0.7788 0.7500
S12 S 0.5813 0.1140 0.7500
S13 S 0.7760 0.2212 0.2500
S14 S 0.7788 0.5548 0.2500
S15 S 0.7808 0.8655 0.2500
S16 S 0.8655 0.7808 0.7500
S17 S 0.8860 0.4674 0.7500
S18 S 0.9154 0.1345 0.7500